VASP calculation (PBE) on crystalline Ni3Bi2S2 at its relaxed geometry.

```
Ni3Bi2S2
1.0
4.128 0.000 0.000
0.000 5.401 0.000
0.000 0.000 5.883
Ni Bi S
3 2 2
Direct
0.000 0.000 0.000
0.500 0.252 0.819
0.500 0.748 0.819
0.000 0.000 0.563
0.000 0.500 0.072
0.500 0.000 0.114
0.500 0.500 0.528
```

Mass density ... 8.33 g cm⁻³
Offset from the most stable computed form ... 84.8 meV per atom
DFT formation energy ... -0.36 eV/atom
Crystal system ... orthorhombic

***

VASP calculation (PBE) on crystalline Ni3Bi2S2 at its relaxed geometry.

```
Ni3Bi2S2
1.0
5.503 -4.088 0.000
5.503 4.088 0.000
-5.352 0.000 5.748
Ni Bi S
6 4 4
Direct
0.000 0.500 0.000
0.245 0.245 0.730
0.245 0.755 0.000
0.500 0.000 0.000
0.755 0.245 0.000
0.755 0.755 0.270
0.002 0.002 0.752
0.488 0.488 0.240
0.512 0.512 0.760
0.998 0.998 0.248
0.033 0.501 0.292
0.498 0.967 0.708
0.501 0.033 0.292
0.967 0.498 0.708
```

Mass density ... 8.45 g cm⁻³
Offset from the most stable computed form ... 3.5 meV per atom
DFT formation energy ... -0.44 eV/atom
Crystal system ... monoclinic

***

- Number 2 is which compound?
  Ni3Bi2S2